# PBE+U Na5MnHO4, optimized geometry
data_Na5MnHO4
_chemical_formula_sum 'Na40 Mn8 H8 O32'
_space_group_name_H-M_alt 'P n m a'
_space_group_IT_number 62
_cell_length_a 10.0963
_cell_length_b 10.3610
_cell_length_c 12.1489
_cell_angle_alpha 90.00
_cell_angle_beta 90.00
_cell_angle_gamma 90.00
loop_
_space_group_symop_operation_xyz
'x,y,z'
'-x,-y,-z'
'-x+1/2,-y,z+1/2'
'x+1/2,y,-z+1/2'
'x+1/2,-y+1/2,-z+1/2'
'-x+1/2,y+1/2,z+1/2'
'-x,y+1/2,-z'
'x,-y+1/2,z'
loop_
_atom_site_label
_atom_site_fract_x
_atom_site_fract_y
_atom_site_fract_z
_atom_site_occupancy
Na1 0.0108 0.0878 0.2089 1
Na2 0.0700 0.0634 0.5827 1
Na3 0.0808 0.7500 0.5538 1
Na4 0.1178 0.2500 0.0170 1
Na5 0.1235 0.5639 0.0092 1
Na6 0.2160 0.5768 0.3297 1
Mn1 0.0123 0.2500 0.7932 1
Mn2 0.2039 0.2500 0.3749 1
H1 0.2319 0.6255 0.6887 1
O1 0.0621 0.7500 0.3574 1
O2 0.0643 0.0934 0.8783 1
O3 0.0908 0.0935 0.3916 1
O4 0.1009 0.7500 0.8875 1
O5 0.2428 0.0798 0.1212 1
# Formation energy: -1.5636 eV/atom